Computed, not measured: BaSr11Al4O16F4 after structural relaxation at the PBE-GGA level of DFT.

Unit cell a=6.8785 b=6.8785 c=11.2926 alpha=90.00 beta=90.00 gamma=90.00
Last column: nearest neighbours and their distance in Å.
Fractional coordinates of all 36 atoms:
Ba  0.0000  0.0000  0.0000  2 F 2.87, 8 O 2.93
Sr  0.0000  0.0000  0.5000  2 F 2.77, 8 O 2.89
Sr  0.1695  0.3320  0.2508  6 O 2.48-2.74, 2 F 2.55-2.56
Sr  0.1695  0.6680  0.7492  6 O 2.48-2.74, 2 F 2.55-2.56
Sr  0.3320  0.1695  0.7492  6 O 2.48-2.74, 2 F 2.55-2.56
Sr  0.3320  0.8305  0.2508  6 O 2.48-2.74, 2 F 2.55-2.56
Sr  0.5000  0.5000  0.0000  2 F 2.83, 8 O 2.87
Sr  0.5000  0.5000  0.5000  2 F 2.82, 8 O 2.89
Sr  0.6680  0.1695  0.2508  6 O 2.48-2.74, 2 F 2.55-2.56
Sr  0.6680  0.8305  0.7492  6 O 2.48-2.74, 2 F 2.55-2.56
Sr  0.8305  0.3320  0.7492  6 O 2.48-2.74, 2 F 2.55-2.56
Sr  0.8305  0.6680  0.2508  6 O 2.48-2.74, 2 F 2.55-2.56
Al  0.0000  0.5000  0.0000  4 O 1.80
Al  0.0000  0.5000  0.5000  4 O 1.80
Al  0.5000  0.0000  0.0000  4 O 1.80
Al  0.5000  0.0000  0.5000  4 O 1.80
O  0.1421  0.3584  0.6017  1 Al 1.80
O  0.1421  0.6416  0.3983  1 Al 1.80
O  0.1443  0.3627  0.8971  1 Al 1.80
O  0.1443  0.6373  0.1029  1 Al 1.80
O  0.3584  0.1421  0.3983  1 Al 1.80
O  0.3584  0.8579  0.6017  1 Al 1.80
O  0.3627  0.1443  0.1029  1 Al 1.80
O  0.3627  0.8557  0.8971  1 Al 1.80
O  0.6373  0.1443  0.8971  1 Al 1.80
O  0.6373  0.8557  0.1029  1 Al 1.80
O  0.6416  0.1421  0.6017  1 Al 1.80
O  0.6416  0.8579  0.3983  1 Al 1.80
O  0.8557  0.3627  0.1029  1 Al 1.80
O  0.8557  0.6373  0.8971  1 Al 1.80
O  0.8579  0.3584  0.3983  1 Al 1.80
O  0.8579  0.6416  0.6017  1 Al 1.80
F  0.0000  0.0000  0.2544  5 Sr 2.56-2.77
F  0.0000  0.0000  0.7456  5 Sr 2.56-2.77
F  0.5000  0.5000  0.2506  6 Sr 2.55-2.83
F  0.5000  0.5000  0.7494  6 Sr 2.55-2.83

Computed properties:
Formation enthalpy at 0 K in meV per atom: -3421

=====

Computed, not measured: Fe5C2 after structural relaxation at the PBE-GGA level of DFT.

Unit cell a=5.0041 b=4.5229 c=11.9855 alpha=90.00 beta=106.89 gamma=90.00
Last column: nearest neighbours and their distance in Å.
Fractional coordinates of all 28 atoms:
Fe  0.0000  0.1750  0.2500  4 C 2.01-2.04
Fe  0.0000  0.8250  0.7500  4 C 2.01-2.04
Fe  0.0734  0.3379  0.6534  2 C 1.97-2.01
Fe  0.0734  0.6621  0.1534  2 C 1.97-2.01
Fe  0.1505  0.1654  0.4631  2 C 1.93-1.95
Fe  0.1505  0.8346  0.9631  2 C 1.93-1.95
Fe  0.3479  0.3321  0.0365  2 C 1.96
Fe  0.3479  0.6679  0.5365  2 C 1.96
Fe  0.4358  0.1717  0.8482  2 C 1.98-1.99
Fe  0.4358  0.8283  0.3482  2 C 1.98-1.99
Fe  0.5000  0.3123  0.2500  4 C 2.02-2.04
Fe  0.5000  0.6877  0.7500  4 C 2.02-2.04
Fe  0.5642  0.1717  0.6518  2 C 1.98-1.99
Fe  0.5642  0.8283  0.1518  2 C 1.98-1.99
Fe  0.6521  0.3321  0.4635  2 C 1.96
Fe  0.6521  0.6679  0.9635  2 C 1.96
Fe  0.8495  0.1654  0.0369  2 C 1.93-1.95
Fe  0.8495  0.8346  0.5369  2 C 1.93-1.95
Fe  0.9266  0.3379  0.8466  2 C 1.97-2.01
Fe  0.9266  0.6621  0.3466  2 C 1.97-2.01
C  0.2162  0.0597  0.1359  6 Fe 1.93-2.04
C  0.2162  0.9403  0.6359  6 Fe 1.93-2.04
C  0.2803  0.4323  0.3624  6 Fe 1.95-2.04
C  0.2803  0.5677  0.8624  6 Fe 1.95-2.04
C  0.7197  0.4323  0.1376  6 Fe 1.95-2.04
C  0.7197  0.5677  0.6376  6 Fe 1.95-2.04
C  0.7838  0.0597  0.3641  6 Fe 1.93-2.04
C  0.7838  0.9403  0.8641  6 Fe 1.93-2.04

Computed properties:
Formation enthalpy at 0 K in meV per atom: 61
Excess energy over the best structure of this formula in the dataset in kJ per mole of atoms: 0.20

=====

Computed, not measured: La2Ge2O7 after structural relaxation at the PBE-GGA level of DFT.

Unit cell a=7.0839 b=7.1314 c=12.9136 alpha=94.10 beta=90.38 gamma=91.01
Last column: nearest neighbours and their distance in Å.
Fractional coordinates of all 44 atoms:
La  0.0512  0.3317  0.1167  7 O 2.40-2.59
La  0.1185  0.0865  0.3602  5 O 2.39-2.56
La  0.3336  0.8288  0.1068  6 O 2.44-2.61
La  0.3664  0.2381  0.6286  6 O 2.34-2.53
La  0.6336  0.7619  0.3714  6 O 2.34-2.53
La  0.6664  0.1712  0.8932  6 O 2.44-2.61
La  0.8815  0.9135  0.6398  5 O 2.39-2.56
La  0.9488  0.6683  0.8833  7 O 2.40-2.59
Ge  0.1471  0.6218  0.3849  4 O 1.75-1.83
Ge  0.1559  0.1481  0.8828  4 O 1.75-1.81
Ge  0.3758  0.7358  0.5973  4 O 1.73-1.81
Ge  0.4895  0.6730  0.8278  4 O 1.75-1.87
Ge  0.5105  0.3270  0.1722  4 O 1.75-1.87
Ge  0.6242  0.2642  0.4027  4 O 1.73-1.81
Ge  0.8441  0.8519  0.1172  4 O 1.75-1.81
Ge  0.8529  0.3782  0.6151  4 O 1.75-1.83
O  0.0051  0.0138  0.1832  1 Ge 1.78
O  0.0077  0.6681  0.0787  1 Ge 1.81
O  0.0354  0.2273  0.5686  1 Ge 1.78
O  0.0734  0.4134  0.3153  1 Ge 1.75
O  0.2232  0.9205  0.6215  1 Ge 1.73
O  0.2489  0.0969  0.0044  1 Ge 1.76
O  0.2922  0.7799  0.3168  1 Ge 1.79
O  0.2980  0.5660  0.4939  2 Ge 1.81-1.83
O  0.2984  0.7175  0.9108  1 Ge 1.75
O  0.3474  0.2158  0.8079  1 Ge 1.75
O  0.3534  0.4912  0.1262  1 Ge 1.76
O  0.3718  0.1353  0.2105  1 Ge 1.77
O  0.3951  0.5774  0.6988  2 Ge 1.80-1.87
O  0.4126  0.1646  0.4457  1 Ge 1.76
O  0.5874  0.8354  0.5543  1 Ge 1.76
O  0.6049  0.4226  0.3012  2 Ge 1.80-1.87
O  0.6282  0.8647  0.7895  1 Ge 1.77
O  0.6466  0.5088  0.8738  1 Ge 1.76
O  0.6526  0.7842  0.1921  1 Ge 1.75
O  0.7016  0.2825  0.0892  1 Ge 1.75
O  0.7020  0.4340  0.5061  2 Ge 1.81-1.83
O  0.7078  0.2201  0.6832  1 Ge 1.79
O  0.7511  0.9031  0.9956  1 Ge 1.76
O  0.7768  0.0795  0.3785  1 Ge 1.73
O  0.9266  0.5866  0.6847  1 Ge 1.75
O  0.9646  0.7727  0.4314  1 Ge 1.78
O  0.9923  0.3319  0.9213  1 Ge 1.81
O  0.9949  0.9862  0.8168  1 Ge 1.78

Computed properties:
Formation enthalpy at 0 K in meV per atom: -3036

=====

Computed, not measured: Mg5Ga after structural relaxation at the PBE-GGA level of DFT.

Unit cell a=5.4338 b=5.4338 c=5.0684 alpha=90.00 beta=90.00 gamma=120.00
Last column: nearest neighbours and their distance in Å.
Fractional coordinates of all 6 atoms:
Mg  0.0000  0.6712  0.0000  10 Mg 3.09-3.16, 2 Ga 3.10
Mg  0.3288  0.3288  0.0000  10 Mg 3.09-3.16, 2 Ga 3.10
Mg  0.3333  0.6667  0.5000  9 Mg 3.12-3.14, 3 Ga 3.14
Mg  0.6667  0.3333  0.5000  9 Mg 3.12-3.14, 3 Ga 3.14
Mg  0.6712  0.0000  0.0000  10 Mg 3.09-3.16, 2 Ga 3.10
Ga  0.0000  0.0000  0.5000  12 Mg 3.10-3.14

Computed properties:
Formation enthalpy at 0 K in meV per atom: -31
Excess energy over the best structure of this formula in the dataset in kJ per mole of atoms: 0.26

=====

Computed, not measured: Ba8Gd4Cu12O27 after structural relaxation at the PBE-GGA level of DFT.

Unit cell a=8.6757 b=8.6757 c=12.4975 alpha=106.00 beta=106.00 gamma=53.91
Last column: nearest neighbours and their distance in Å.
Fractional coordinates of all 51 atoms:
Ba  0.0798  0.0798  0.3176  10 O 2.77-3.03
Ba  0.1709  0.1709  0.6817  10 O 2.77-3.04
Ba  0.3234  0.3234  0.3115  9 O 2.73-3.01
Ba  0.4175  0.4175  0.6878  9 O 2.73-3.02
Ba  0.5825  0.5825  0.3122  9 O 2.73-3.02
Ba  0.6766  0.6766  0.6885  9 O 2.73-3.01
Ba  0.8291  0.8291  0.3183  10 O 2.77-3.04
Ba  0.9202  0.9202  0.6824  10 O 2.77-3.03
Gd  0.0000  0.0000  0.0000  8 O 2.43-2.45
Gd  0.2498  0.2498  0.9989  8 O 2.42-2.46
Gd  0.5000  0.5000  0.0000  8 O 2.42-2.46
Gd  0.7502  0.7502  0.0011  8 O 2.42-2.46
Cu  0.0000  0.5000  0.5000  4 O 1.88-1.97
Cu  0.0886  0.5889  0.8549  4 O 1.95-1.98
Cu  0.1616  0.6606  0.1444  4 O 1.95-1.99
Cu  0.2388  0.7612  0.5000  3 O 1.82-1.88
Cu  0.3394  0.8384  0.8556  4 O 1.95-1.99
Cu  0.4111  0.9114  0.1451  4 O 1.95-1.98
Cu  0.5000  0.0000  0.5000  4 O 1.88-1.97
Cu  0.5889  0.0886  0.8549  4 O 1.95-1.98
Cu  0.6606  0.1616  0.1444  4 O 1.95-1.99
Cu  0.7612  0.2388  0.5000  3 O 1.82-1.88
Cu  0.8384  0.3394  0.8556  4 O 1.95-1.99
Cu  0.9114  0.4111  0.1451  4 O 1.95-1.98
O  0.0000  0.0000  0.5000  2 Cu 1.88
O  0.0308  0.5311  0.1235  2 Cu 1.95
O  0.0395  0.5397  0.6584  1 Cu 1.88
O  0.0939  0.0939  0.8759  2 Cu 1.99
O  0.1560  0.1560  0.1233  2 Cu 1.98
O  0.2190  0.7194  0.8765  2 Cu 1.95
O  0.2299  0.6940  0.3480  1 Cu 1.82
O  0.2515  0.2515  0.5001  2 Cu 1.97
O  0.2806  0.7810  0.1235  2 Cu 1.95
O  0.3060  0.7701  0.6520  1 Cu 1.82
O  0.3442  0.3442  0.8760  2 Cu 1.98
O  0.4053  0.4053  0.1217  2 Cu 1.98
O  0.4603  0.9605  0.3416  1 Cu 1.88
O  0.4689  0.9692  0.8765  2 Cu 1.95
O  0.5311  0.0308  0.1235  2 Cu 1.95
O  0.5397  0.0395  0.6584  1 Cu 1.88
O  0.5947  0.5947  0.8783  2 Cu 1.98
O  0.6558  0.6558  0.1240  2 Cu 1.98
O  0.6940  0.2299  0.3480  1 Cu 1.82
O  0.7194  0.2190  0.8765  2 Cu 1.95
O  0.7485  0.7485  0.4999  2 Cu 1.97
O  0.7701  0.3060  0.6520  1 Cu 1.82
O  0.7810  0.2806  0.1235  2 Cu 1.95
O  0.8440  0.8440  0.8767  2 Cu 1.98
O  0.9061  0.9061  0.1241  2 Cu 1.99
O  0.9605  0.4603  0.3416  1 Cu 1.88
O  0.9692  0.4689  0.8765  2 Cu 1.95

Computed properties:
Formation enthalpy at 0 K in meV per atom: -2182

=====

Computed, not measured: Cs2Nb3Cl7O5 after structural relaxation at the PBE-GGA level of DFT.

Unit cell a=9.9555 b=9.9555 c=11.3389 alpha=107.07 beta=107.07 gamma=54.24
Last column: nearest neighbours and their distance in Å.
Fractional coordinates of all 34 atoms:
Cs  0.1586  0.2472  0.3546  8 Cl 3.44-3.77
Cs  0.2472  0.1586  0.8546  8 Cl 3.44-3.77
Cs  0.7528  0.8414  0.1454  8 Cl 3.44-3.77
Cs  0.8414  0.7528  0.6454  8 Cl 3.44-3.77
Nb  0.2089  0.7866  0.0258  3 O 1.81-2.03
Nb  0.2134  0.7911  0.4742  3 O 1.81-2.03
Nb  0.4673  0.5327  0.7500  2 O 1.87
Nb  0.5327  0.4673  0.2500  2 O 1.87
Nb  0.7866  0.2089  0.5258  3 O 1.81-2.03
Nb  0.7911  0.2134  0.9742  3 O 1.81-2.03
Cl  0.0652  0.6465  0.3839  1 Nb 2.45
Cl  0.0686  0.6367  0.9642  1 Nb 2.43
Cl  0.0966  0.9034  0.2500  2 Nb 2.73, 2 O 2.97
Cl  0.2913  0.4213  0.6770  1 Nb 2.42
Cl  0.3535  0.9348  0.1161  1 Nb 2.45
Cl  0.3633  0.9314  0.5358  1 Nb 2.43
Cl  0.4213  0.2913  0.1770  1 Nb 2.42
Cl  0.5787  0.7087  0.8230  1 Nb 2.42
Cl  0.6367  0.0686  0.4642  1 Nb 2.43
Cl  0.6465  0.0652  0.8839  1 Nb 2.45
Cl  0.7087  0.5787  0.3230  1 Nb 2.42
Cl  0.9034  0.0966  0.7500  2 Nb 2.73, 2 O 2.97
Cl  0.9314  0.3633  0.0358  1 Nb 2.43
Cl  0.9348  0.3535  0.6161  1 Nb 2.45
O  0.0000  0.0000  0.0000  2 Nb 1.94
O  0.0000  0.0000  0.5000  2 Nb 1.94
O  0.2878  0.7111  0.8791  1 Nb 1.81
O  0.2889  0.7122  0.6209  1 Nb 1.81
O  0.3965  0.6026  0.1258  2 Nb 1.87-2.03
O  0.3974  0.6035  0.3742  2 Nb 1.87-2.03
O  0.6026  0.3965  0.6258  2 Nb 1.87-2.03
O  0.6035  0.3974  0.8742  2 Nb 1.87-2.03
O  0.7111  0.2878  0.3791  1 Nb 1.81
O  0.7122  0.2889  0.1209  1 Nb 1.81

Computed properties:
Formation enthalpy at 0 K in meV per atom: -2220